(1)
{
  "formula": "GaCo4Ge3",
  "functional": "GGA-PBE",
  "state": "relaxed",
  "lattice_angstrom": [[3.260, 1.882, 2.710], [-3.260, 1.882, 2.710], [0.000, -3.765, 2.710]],
  "species": ["Ga", "Co", "Co", "Co", "Co", "Ge", "Ge", "Ge"],
  "fractional_positions": [[0.000, 0.000, 0.000], [0.023, 0.520, 0.791], [0.300, 0.300, 0.300], [0.520, 0.791, 0.023], [0.791, 0.023, 0.520], [0.315, 0.823, 0.499], [0.499, 0.315, 0.823], [0.823, 0.499, 0.315]],
  "space_group": "No. 146",
  "final_energy_ev_per_cell": -47.2
}

(2)
{
  "formula": "Ag3SeNO3",
  "functional": "GGA-PBE",
  "state": "relaxed",
  "lattice_angstrom": [[4.313, 2.490, 3.961], [-4.313, 2.490, 3.961], [0.000, -4.981, 3.961]],
  "species": ["Ag", "Ag", "Ag", "Ag", "Ag", "Ag", "Se", "Se", "N", "N", "O", "O", "O", "O", "O", "O"],
  "fractional_positions": [[0.067, 0.193, 0.740], [0.193, 0.740, 0.067], [0.240, 0.693, 0.567], [0.567, 0.240, 0.693], [0.693, 0.567, 0.240], [0.740, 0.067, 0.193], [0.215, 0.215, 0.215], [0.715, 0.715, 0.715], [0.066, 0.066, 0.066], [0.566, 0.566, 0.566], [0.062, 0.332, 0.413], [0.332, 0.413, 0.062], [0.413, 0.062, 0.332], [0.562, 0.913, 0.832], [0.832, 0.562, 0.913], [0.913, 0.832, 0.562]],
  "space_group": "No. 161",
  "final_energy_ev_per_cell": -70.7
}

(3)
{
  "formula": "Ga2S3",
  "functional": "GGA-PBE",
  "state": "relaxed",
  "lattice_angstrom": [[5.711, -3.269, 0.000], [5.711, 3.269, 0.000], [-3.677, 0.000, 6.099]],
  "species": ["Ga", "Ga", "Ga", "Ga", "S", "S", "S", "S", "S", "S"],
  "fractional_positions": [[0.065, 0.935, 0.500], [0.242, 0.439, 0.010], [0.439, 0.242, 0.510], [0.935, 0.065, 0.000], [0.051, 0.224, 0.384], [0.224, 0.051, 0.884], [0.381, 0.557, 0.394], [0.557, 0.381, 0.894], [0.709, 0.890, 0.365], [0.890, 0.709, 0.865]],
  "e_ij_max_c_m2": 0.36,
  "space_group": "No. 9",
  "final_energy_ev_per_cell": -43.6
}

(4)
{
  "formula": "DyPPt",
  "functional": "GGA-PBE",
  "state": "relaxed",
  "lattice_angstrom": [[4.136, 0.000, 0.000], [-2.068, 3.582, 0.000], [0.000, 0.000, 3.881]],
  "species": ["Dy", "P", "Pt"],
  "fractional_positions": [[0.000, 0.000, 0.000], [0.667, 0.333, 0.500], [0.333, 0.667, 0.500]],
  "space_group": "No. 187",
  "final_energy_ev_per_cell": -20.1
}

(5)
{
  "formula": "ZnGa11Co4",
  "functional": "GGA-PBE",
  "state": "relaxed",
  "lattice_angstrom": [[6.241, 0.000, 0.000], [0.000, 6.411, 0.000], [-0.041, 0.000, 6.305]],
  "species": ["Zn", "Ga", "Ga", "Ga", "Ga", "Ga", "Ga", "Ga", "Ga", "Ga", "Ga", "Ga", "Co", "Co", "Co", "Co"],
  "fractional_positions": [[0.000, 0.000, 0.000], [0.000, 0.500, 0.000], [0.151, 0.239, 0.342], [0.151, 0.761, 0.342], [0.345, 0.256, 0.848], [0.345, 0.744, 0.848], [0.500, 0.000, 0.500], [0.500, 0.500, 0.500], [0.655, 0.256, 0.152], [0.655, 0.744, 0.152], [0.849, 0.239, 0.658], [0.849, 0.761, 0.658], [0.157, 0.000, 0.648], [0.345, 0.500, 0.156], [0.655, 0.500, 0.844], [0.843, 0.000, 0.352]],
  "space_group": "No. 10",
  "final_energy_ev_per_cell": -67.3
}

(6)
{
  "formula": "BeB6H16",
  "functional": "GGA-PBE",
  "state": "relaxed",
  "lattice_angstrom": [[12.014, 0.000, 0.000], [0.000, 7.888, 0.000], [-8.011, 0.000, 12.274]],
  "species": ["Be", "Be", "Be", "Be", "B", "B", "B", "B", "B", "B", "B", "B", "B", "B", "B", "B", "B", "B", "B", "B", "B", "B", "B", "B", "B", "B", "B", "B", "H", "H", "H", "H", "H", "H", "H", "H", "H", "H", "H", "H", "H", "H", "H", "H", "H", "H", "H", "H", "H", "H", "H", "H", "H", "H", "H", "H", "H", "H", "H", "H", "H", "H", "H", "H", "H", "H", "H", "H", "H", "H", "H", "H", "H", "H", "H", "H", "H", "H", "H", "H", "H", "H", "H", "H", "H", "H", "H", "H", "H", "H", "H", "H"],
  "fractional_positions": [[0.215, 0.022, 0.222], [0.215, 0.478, 0.722], [0.785, 0.522, 0.278], [0.785, 0.978, 0.778], [0.133, 0.583, 0.794], [0.133, 0.917, 0.294], [0.190, 0.709, 0.727], [0.190, 0.791, 0.227], [0.220, 0.226, 0.146], [0.220, 0.274, 0.646], [0.225, 0.728, 0.869], [0.225, 0.772, 0.369], [0.332, 0.220, 0.288], [0.332, 0.280, 0.788], [0.399, 0.226, 0.203], [0.399, 0.274, 0.703], [0.601, 0.726, 0.297], [0.601, 0.774, 0.797], [0.668, 0.720, 0.212], [0.668, 0.780, 0.712], [0.775, 0.228, 0.631], [0.775, 0.272, 0.131], [0.780, 0.726, 0.354], [0.780, 0.774, 0.854], [0.810, 0.209, 0.773], [0.810, 0.291, 0.273], [0.867, 0.083, 0.706], [0.867, 0.417, 0.206], [0.068, 0.036, 0.288], [0.068, 0.464, 0.788], [0.087, 0.728, 0.810], [0.087, 0.772, 0.310], [0.122, 0.700, 0.150], [0.122, 0.800, 0.650], [0.149, 0.152, 0.614], [0.149, 0.348, 0.114], [0.155, 0.092, 0.104], [0.155, 0.408, 0.604], [0.256, 0.679, 0.307], [0.256, 0.821, 0.807], [0.275, 0.689, 0.449], [0.275, 0.811, 0.949], [0.280, 0.226, 0.096], [0.280, 0.274, 0.596], [0.283, 0.643, 0.721], [0.283, 0.857, 0.221], [0.327, 0.161, 0.837], [0.327, 0.339, 0.337], [0.332, 0.086, 0.333], [0.332, 0.414, 0.833], [0.400, 0.117, 0.508], [0.400, 0.383, 0.008], [0.443, 0.138, 0.704], [0.443, 0.362, 0.204], [0.449, 0.103, 0.191], [0.449, 0.397, 0.691], [0.452, 0.203, 0.316], [0.452, 0.297, 0.816], [0.454, 0.063, 0.552], [0.454, 0.437, 0.052], [0.546, 0.563, 0.948], [0.546, 0.937, 0.448], [0.548, 0.703, 0.184], [0.548, 0.797, 0.684], [0.551, 0.603, 0.309], [0.551, 0.897, 0.809], [0.557, 0.638, 0.796], [0.557, 0.862, 0.296], [0.600, 0.617, 0.992], [0.600, 0.883, 0.492], [0.668, 0.586, 0.167], [0.668, 0.914, 0.667], [0.673, 0.661, 0.663], [0.673, 0.839, 0.163], [0.717, 0.143, 0.779], [0.717, 0.357, 0.279], [0.720, 0.726, 0.404], [0.720, 0.774, 0.904], [0.725, 0.189, 0.051], [0.725, 0.311, 0.551], [0.744, 0.179, 0.193], [0.744, 0.321, 0.693], [0.845, 0.592, 0.396], [0.845, 0.908, 0.896], [0.851, 0.652, 0.886], [0.851, 0.848, 0.386], [0.878, 0.200, 0.350], [0.878, 0.300, 0.850], [0.913, 0.228, 0.690], [0.913, 0.272, 0.190], [0.932, 0.536, 0.212], [0.932, 0.964, 0.712]],
  "e_above_lowest_polymorph_mev_per_atom": 111,
  "space_group": "No. 14"
}

(7)
{
  "formula": "Zr6Al16Co7",
  "functional": "GGA-PBE",
  "state": "relaxed",
  "lattice_angstrom": [[0.000, 6.021, 6.021], [6.021, 0.000, 6.021], [6.021, 6.021, 0.000]],
  "species": ["Zr", "Zr", "Zr", "Zr", "Zr", "Zr", "Al", "Al", "Al", "Al", "Al", "Al", "Al", "Al", "Al", "Al", "Al", "Al", "Al", "Al", "Al", "Al", "Co", "Co", "Co", "Co", "Co", "Co", "Co"],
  "fractional_positions": [[0.195, 0.195, 0.805], [0.195, 0.805, 0.195], [0.195, 0.805, 0.805], [0.805, 0.195, 0.195], [0.805, 0.195, 0.805], [0.805, 0.805, 0.195], [0.144, 0.619, 0.619], [0.165, 0.165, 0.165], [0.165, 0.165, 0.504], [0.165, 0.504, 0.165], [0.381, 0.381, 0.381], [0.381, 0.381, 0.856], [0.381, 0.856, 0.381], [0.496, 0.835, 0.835], [0.504, 0.165, 0.165], [0.619, 0.144, 0.619], [0.619, 0.619, 0.144], [0.619, 0.619, 0.619], [0.835, 0.496, 0.835], [0.835, 0.835, 0.496], [0.835, 0.835, 0.835], [0.856, 0.381, 0.381], [0.000, 0.000, 0.500], [0.000, 0.500, 0.000], [0.000, 0.500, 0.500], [0.500, 0.000, 0.000], [0.500, 0.000, 0.500], [0.500, 0.500, 0.000], [0.500, 0.500, 0.500]],
  "space_group": "No. 225",
  "final_energy_ev_per_cell": -177.7
}

(8)
{
  "formula": "CeIrOs",
  "functional": "GGA-PBE",
  "state": "relaxed",
  "lattice_angstrom": [[-2.564, 2.737, 3.967], [2.564, -2.737, 3.967], [2.564, 2.737, -3.967]],
  "species": ["Ce", "Ce", "Ir", "Ir", "Os", "Os"],
  "fractional_positions": [[0.374, 0.124, 0.250], [0.626, 0.876, 0.750], [0.000, 0.500, 0.500], [0.500, 0.500, 0.000], [0.000, 0.000, 0.500], [0.000, 0.500, 0.000]],
  "space_group": "No. 74",
  "final_energy_ev_per_cell": -55.1
}

(9)
{
  "formula": "Li8Nd7Ge10",
  "functional": "GGA-PBE",
  "state": "relaxed",
  "lattice_angstrom": [[3.463, -16.777, 0.000], [3.463, 16.777, 0.000], [0.000, 0.000, 4.438]],
  "species": ["Li", "Li", "Li", "Li", "Li", "Li", "Li", "Li", "Nd", "Nd", "Nd", "Nd", "Nd", "Nd", "Nd", "Ge", "Ge", "Ge", "Ge", "Ge", "Ge", "Ge", "Ge", "Ge", "Ge"],
  "fractional_positions": [[0.044, 0.331, 0.000], [0.235, 0.384, 0.500], [0.331, 0.044, 0.000], [0.384, 0.235, 0.500], [0.616, 0.765, 0.500], [0.669, 0.956, 0.000], [0.765, 0.616, 0.500], [0.956, 0.669, 0.000], [0.057, 0.943, 0.000], [0.221, 0.779, 0.500], [0.339, 0.661, 0.500], [0.500, 0.500, 0.000], [0.661, 0.339, 0.500], [0.779, 0.221, 0.500], [0.943, 0.057, 0.000], [0.102, 0.533, 0.000], [0.127, 0.873, 0.500], [0.184, 0.184, 0.500], [0.406, 0.594, 0.000], [0.467, 0.898, 0.000], [0.533, 0.102, 0.000], [0.594, 0.406, 0.000], [0.816, 0.816, 0.500], [0.873, 0.127, 0.500], [0.898, 0.467, 0.000]],
  "space_group": "No. 65",
  "final_energy_ev_per_cell": -112.1
}

(10)
{
  "formula": "MgAl2P2H18O18",
  "functional": "GGA-PBE",
  "state": "relaxed",
  "lattice_angstrom": [[5.270, 0.000, 0.000], [-2.417, 6.542, 0.000], [-2.099, -2.053, 9.868]],
  "species": ["Mg", "Al", "Al", "P", "P", "H", "H", "H", "H", "H", "H", "H", "H", "H", "H", "H", "H", "H", "H", "H", "H", "H", "H", "O", "O", "O", "O", "O", "O", "O", "O", "O", "O", "O", "O", "O", "O", "O", "O", "O", "O"],
  "fractional_positions": [[0.000, 0.000, 0.000], [0.500, 0.000, 0.500], [0.500, 0.500, 0.500], [0.015, 0.922, 0.667], [0.985, 0.078, 0.333], [0.081, 0.577, 0.252], [0.096, 0.658, 0.821], [0.168, 0.674, 0.514], [0.198, 0.397, 0.951], [0.301, 0.942, 0.206], [0.315, 0.494, 0.723], [0.339, 0.403, 0.103], [0.392, 0.300, 0.674], [0.473, 0.011, 0.877], [0.527, 0.989, 0.123], [0.608, 0.700, 0.326], [0.661, 0.597, 0.897], [0.685, 0.506, 0.277], [0.699, 0.058, 0.794], [0.802, 0.603, 0.049], [0.832, 0.326, 0.486], [0.904, 0.342, 0.179], [0.919, 0.423, 0.748], [0.097, 0.906, 0.818], [0.099, 0.514, 0.811], [0.125, 0.299, 0.425], [0.186, 0.959, 0.349], [0.259, 0.313, 0.013], [0.288, 0.045, 0.628], [0.322, 0.937, 0.112], [0.356, 0.710, 0.497], [0.458, 0.458, 0.684], [0.542, 0.542, 0.316], [0.644, 0.290, 0.503], [0.678, 0.063, 0.888], [0.712, 0.955, 0.372], [0.741, 0.687, 0.987], [0.814, 0.041, 0.651], [0.875, 0.701, 0.575], [0.901, 0.486, 0.189], [0.903, 0.094, 0.182]],
  "space_group": "No. 2",
  "final_energy_ev_per_cell": -235.5
}

(11)
{
  "formula": "SrEuNbBiO6",
  "functional": "GGA-PBE",
  "state": "relaxed",
  "lattice_angstrom": [[8.755, 0.000, 0.000], [0.000, 8.793, 0.000], [0.000, 0.000, 8.804]],
  "species": ["Sr", "Sr", "Sr", "Sr", "Eu", "Eu", "Eu", "Eu", "Nb", "Nb", "Nb", "Nb", "Bi", "Bi", "Bi", "Bi", "O", "O", "O", "O", "O", "O", "O", "O", "O", "O", "O", "O", "O", "O", "O", "O", "O", "O", "O", "O", "O", "O", "O", "O"],
  "fractional_positions": [[0.000, 0.000, 0.000], [0.000, 0.000, 0.500], [0.000, 0.500, 0.000], [0.500, 0.500, 0.000], [0.000, 0.500, 0.500], [0.500, 0.000, 0.000], [0.500, 0.000, 0.500], [0.500, 0.500, 0.500], [0.249, 0.251, 0.248], [0.249, 0.749, 0.752], [0.751, 0.251, 0.752], [0.751, 0.749, 0.248], [0.250, 0.250, 0.750], [0.250, 0.750, 0.250], [0.750, 0.250, 0.250], [0.750, 0.750, 0.750], [0.023, 0.212, 0.298], [0.023, 0.788, 0.702], [0.202, 0.478, 0.212], [0.202, 0.522, 0.788], [0.212, 0.202, 0.022], [0.212, 0.798, 0.978], [0.292, 0.302, 0.480], [0.292, 0.698, 0.520], [0.301, 0.021, 0.290], [0.301, 0.979, 0.710], [0.479, 0.289, 0.203], [0.479, 0.711, 0.797], [0.521, 0.289, 0.797], [0.521, 0.711, 0.203], [0.699, 0.021, 0.710], [0.699, 0.979, 0.290], [0.708, 0.302, 0.520], [0.708, 0.698, 0.480], [0.788, 0.202, 0.978], [0.788, 0.798, 0.022], [0.798, 0.478, 0.788], [0.798, 0.522, 0.212], [0.977, 0.212, 0.702], [0.977, 0.788, 0.298]],
  "e_above_lowest_polymorph_mev_per_atom": 114,
  "space_group": "No. 16"
}

(12)
{
  "formula": "Sr2ScTaO6",
  "functional": "GGA-PBE",
  "state": "relaxed",
  "lattice_angstrom": [[5.735, 0.000, 0.000], [0.000, 5.762, 0.000], [-5.732, 0.000, 8.126]],
  "species": ["Sr", "Sr", "Sr", "Sr", "Sc", "Sc", "Ta", "Ta", "O", "O", "O", "O", "O", "O", "O", "O", "O", "O", "O", "O"],
  "fractional_positions": [[0.247, 0.024, 0.251], [0.247, 0.476, 0.751], [0.753, 0.524, 0.249], [0.753, 0.976, 0.749], [0.500, 0.000, 0.000], [0.500, 0.500, 0.500], [0.000, 0.000, 0.500], [0.000, 0.500, 0.000], [0.181, 0.227, 0.969], [0.181, 0.273, 0.469], [0.243, 0.713, 0.970], [0.243, 0.787, 0.470], [0.302, 0.012, 0.743], [0.302, 0.488, 0.243], [0.698, 0.512, 0.757], [0.698, 0.988, 0.257], [0.757, 0.213, 0.530], [0.757, 0.287, 0.030], [0.819, 0.727, 0.531], [0.819, 0.773, 0.031]],
  "space_group": "No. 14",
  "final_energy_ev_per_cell": -166.7
}